Record 1
First-principles (PBE) data for an optimized crystal structure of Ba2CaCuSn2F14, as listed in the Materials Project.

**Mass density**: 4.58 Mg/m³
**Energy relative to the elements**: -64.35 eV/f.u.
**Raw total energy**: -5.133 eV/atom
**Size of the total moment**: 0.08 μB per formula unit

Unit cell a=5.6134 b=7.7888 c=15.6466 alpha=91.57 beta=90.29 gamma=110.82
Space group P1 (No. 1)
Unique sites:
Ba: 0.0000 0.0000 0.0000 x1
Ba: 0.1696 0.9984 0.4995 x1
Ba: 0.3547 0.7146 0.7460 x1
Ba: 0.5320 0.7173 0.2514 x1
Ca: 0.7086 0.3745 0.8774 x1
Ca: 0.8419 0.3823 0.3784 x1
Cu: 0.7677 0.3756 0.6236 x1
Cu: 0.7798 0.3741 0.1241 x1
Sn: 0.1195 0.1196 0.7482 x1
Sn: 0.1700 0.1191 0.2482 x1
Sn: 0.3537 0.6062 0.0034 x1
Sn: 0.4288 0.6039 0.5039 x1
F: 0.0814 0.6095 0.9000 x1
F: 0.1312 0.3217 0.4600 x1
F: 0.1352 0.8567 0.2280 x1
F: 0.1450 0.6820 0.5826 x1
F: 0.1712 0.5420 0.1252 x1
F: 0.1793 0.3726 0.2806 x1
F: 0.2247 0.6888 0.3959 x1
F: 0.2994 0.0391 0.8444 x1
F: 0.3563 0.1869 0.1390 x1
F: 0.3624 0.3717 0.7827 x1
F: 0.3625 0.3327 0.9628 x1
F: 0.3771 0.0599 0.6742 x1
F: 0.4112 0.8915 0.0193 x1
F: 0.4442 0.1334 0.3356 x1
F: 0.5458 0.5389 0.6337 x1
F: 0.6313 0.6887 0.8991 x1
F: 0.6339 0.2893 0.5077 x1
F: 0.6494 0.8970 0.5200 x1
F: 0.7025 0.6826 0.0797 x1
F: 0.7062 0.6184 0.3942 x1
F: 0.7162 0.4406 0.2400 x1
F: 0.8224 0.2867 0.0080 x1
F: 0.8528 0.0588 0.1725 x1
F: 0.8627 0.1302 0.8375 x1
F: 0.8975 0.4373 0.7422 x1
F: 0.8978 0.8569 0.7303 x1
F: 0.9108 0.0358 0.3423 x1
F: 0.9975 0.1878 0.6391 x1

***

Record 2
First-principles (PBE) data for an optimized crystal structure of AgSbTe2, as listed in the Materials Project.

**Mass density**: 6.87 Mg/m³
**Energy relative to the elements**: 2.58 eV/f.u.
**Raw total energy**: -2.457 eV/atom
**Size of the total moment**: 0.01 μB per formula unit

Unit cell a=6.2612 b=6.1514 c=42.5899 alpha=90.00 beta=90.02 gamma=90.00
Space group C2/m (No. 12)
Unique sites:
Ag: 0.0000 0.0000 0.0000 x2
Ag: 0.9998 0.5000 0.2029 x4
Ag: 0.0007 0.0000 0.8665 x4
Ag: 0.0005 0.5000 0.0677 x4
Sb: 0.0000 0.0000 0.2756 x4
Sb: 0.9995 0.5000 0.3540 x4
Sb: 0.0000 0.5000 0.5000 x2
Sb: 0.0006 0.0000 0.5742 x4
Te: 0.0002 0.0000 0.0655 x4
Te: 0.9996 0.0000 0.3559 x4
Te: 0.0000 0.0000 0.5000 x2
Te: 0.0000 0.5000 0.0000 x2
Te: 0.0001 0.5000 0.1353 x4
Te: 0.0001 0.5000 0.2834 x4
Te: 0.0005 0.0000 0.2098 x4
Te: 0.0007 0.5000 0.5724 x4

***

Record 3
First-principles (PBE) data for an optimized crystal structure of Cs3ZnBr5, as listed in the Materials Project.

**Mass density**: 3.76 Mg/m³
**Energy relative to the elements**: -16.58 eV/f.u.
**Raw total energy**: -2.894 eV/atom

Unit cell a=9.9358 b=9.9358 c=15.4689 alpha=90.00 beta=90.00 gamma=90.00
Space group I4/mcm (No. 140)
Unique sites:
Cs: 0.0000 0.0000 0.2500 x4
Cs: 0.1647 0.3353 0.0000 x8
Zn: 0.0000 0.5000 0.2500 x4
Br: 0.0000 0.0000 0.0000 x4
Br: 0.1389 0.3611 0.3439 x16

***

Record 4
First-principles (PBE) data for an optimized crystal structure of LiBe2Pt, as listed in the Materials Project.

**Mass density**: 8.50 Mg/m³
**Energy relative to the elements**: -2.04 eV/f.u.
**Raw total energy**: -4.374 eV/atom

Unit cell a=5.5610 b=5.5610 c=5.5610 alpha=90.00 beta=90.00 gamma=90.00
Space group Fm-3m (No. 225)
Unique sites:
Li: 0.0000 0.0000 0.0000 x4
Be: 0.2500 0.2500 0.2500 x8
Pt: 0.0000 0.0000 0.5000 x4

***

Record 5
First-principles (PBE) data for an optimized crystal structure of GdB2HO5, as listed in the Materials Project.

**Mass density**: 4.67 Mg/m³
**Energy relative to the elements**: -26.31 eV/f.u.
**Energy above the lowest structure with this stoichiometry**: 0 meV/atom
**Raw total energy**: -8.716 eV/atom
**Size of the total moment**: 7.00 μB per formula unit

Unit cell a=5.5974 b=11.8672 c=5.6835 alpha=90.00 beta=101.84 gamma=90.00
Space group P2_1 (No. 4)
Unique sites:
Gd: 0.0617 0.0000 0.4571 x2
Gd: 0.4022 0.1262 0.0168 x2
B: 0.1374 0.2873 0.3841 x2
B: 0.1477 0.7076 0.3633 x2
B: 0.3783 0.4285 0.1542 x2
B: 0.3930 0.8488 0.1430 x2
H: 0.1225 0.5543 0.0681 x2
H: 0.1731 0.6760 0.7113 x2
O: 0.0109 0.8037 0.4439 x2
O: 0.0212 0.1264 0.7664 x2
O: 0.1634 0.1840 0.2919 x2
O: 0.2223 0.5082 0.9717 x2
O: 0.2230 0.3903 0.3235 x2
O: 0.2795 0.6516 0.6018 x2
O: 0.3170 0.9516 0.1983 x2
O: 0.3299 0.7442 0.2267 x2
O: 0.4106 0.9904 0.7283 x2
O: 0.4469 0.3316 0.0147 x2

***

Record 6
First-principles (PBE) data for an optimized crystal structure of Hf3Ga4Cu2, as listed in the Materials Project.

**Mass density**: 10.51 Mg/m³
**Energy relative to the elements**: -3.63 eV/f.u.
**Raw total energy**: -5.979 eV/atom
**Size of the total moment**: 0.00 μB per formula unit

Unit cell a=9.8499 b=4.1147 c=14.9120 alpha=90.00 beta=100.26 gamma=90.00
Space group Cm (No. 8)
Unique sites:
Hf: 0.0000 0.0000 0.0000 x2
Hf: 0.0568 0.5000 0.5284 x2
Hf: 0.1652 0.5000 0.3367 x2
Hf: 0.2237 0.0000 0.8635 x2
Hf: 0.3325 0.0000 0.6667 x2
Hf: 0.3904 0.5000 0.1965 x2
Ga: 0.0190 0.5000 0.8652 x2
Ga: 0.0435 0.0000 0.6670 x2
Ga: 0.0562 0.5000 0.1388 x2
Ga: 0.1865 0.0000 0.1990 x2
Ga: 0.2122 0.5000 0.0024 x2
Ga: 0.3456 0.5000 0.5289 x2
Ga: 0.3756 0.0000 0.3389 x2
Ga: 0.3892 0.5000 0.8039 x2
Cu: 0.1505 0.5000 0.7272 x2
Cu: 0.2325 0.0000 0.4708 x2
Cu: 0.3175 0.0000 0.0615 x2
Cu: 0.4883 0.5000 0.3954 x2

***

Record 7
First-principles (PBE) data for an optimized crystal structure of Be2AsH9O9, as listed in the Materials Project.

**Mass density**: 2.06 Mg/m³
**Energy relative to the elements**: -35.77 eV/f.u.
**Raw total energy**: -5.562 eV/atom
**Size of the total moment**: 0.00 μB per formula unit

Unit cell a=8.6367 b=12.7337 c=7.2548 alpha=90.00 beta=97.32 gamma=90.00
Space group P2_1/c (No. 14)
Unique sites:
Be: 0.1074 0.1266 0.3516 x4
Be: 0.3618 0.1221 0.1226 x4
As: 0.2419 0.1729 0.7374 x4
H: 0.0720 0.6839 0.6136 x4
H: 0.1126 0.5230 0.1629 x4
H: 0.1178 0.6036 0.3420 x4
H: 0.1992 0.0005 0.1813 x4
H: 0.2396 0.7059 0.5553 x4
H: 0.2821 0.6466 0.8755 x4
H: 0.4144 0.5127 0.3245 x4
H: 0.4164 0.6093 0.1687 x4
H: 0.4457 0.7026 0.9153 x4
O: 0.0787 0.5932 0.2078 x4
O: 0.1026 0.2456 0.8284 x4
O: 0.1539 0.0894 0.5696 x4
O: 0.1682 0.6482 0.5825 x4
O: 0.2214 0.0727 0.2212 x4
O: 0.3361 0.0898 0.9015 x4
O: 0.3523 0.6811 0.9743 x4
O: 0.3785 0.2488 0.1535 x4
O: 0.4645 0.5802 0.2907 x4

***

Record 8
First-principles (PBE) data for an optimized crystal structure of DyBiPt, as listed in the Materials Project.

**Mass density**: 12.27 Mg/m³
**Energy relative to the elements**: -3.10 eV/f.u.
**Raw total energy**: -5.890 eV/atom

Unit cell a=6.7445 b=6.7445 c=6.7445 alpha=90.00 beta=90.00 gamma=90.00
Space group F-43m (No. 216)
Unique sites:
Dy: 0.0000 0.0000 0.0000 x4
Bi: 0.0000 0.0000 0.5000 x4
Pt: 0.2500 0.2500 0.2500 x4

***

Record 9
First-principles (PBE) data for an optimized crystal structure of MnRu, as listed in the Materials Project.

**Mass density**: 10.33 Mg/m³
**Energy relative to the elements**: 0.09 eV/f.u.
**Raw total energy**: -9.171 eV/atom

Unit cell a=2.6538 b=2.6538 c=4.1105 alpha=90.00 beta=90.00 gamma=120.00
Space group P-6m2 (No. 187)
Unique sites:
Mn: 0.0000 0.0000 0.0000 x1
Ru: 0.6667 0.3333 0.5000 x1

***

Record 10
First-principles (PBE) data for an optimized crystal structure of ZnH6C2S2O6, as listed in the Materials Project.

**Mass density**: 2.22 Mg/m³
**Energy relative to the elements**: -16.63 eV/f.u.
**Raw total energy**: -5.326 eV/atom
**Size of the total moment**: 0.00 μB per formula unit

Unit cell a=8.4239 b=11.0789 c=9.1239 alpha=90.00 beta=116.05 gamma=90.00
Space group Cc (No. 9)
Unique sites:
Zn: 0.0000 0.1448 0.0000 x4
H: 0.1287 0.0355 0.7290 x4
H: 0.1357 0.2051 0.3201 x4
H: 0.2685 0.2646 0.7376 x4
H: 0.4237 0.0452 0.6505 x4
H: 0.4334 0.3379 0.9175 x4
H: 0.4360 0.0381 0.8514 x4
C: 0.3646 0.0053 0.7251 x4
C: 0.3842 0.3243 0.7855 x4
S: 0.3055 0.4751 0.6875 x4
S: 0.4070 0.1611 0.2312 x4
O: 0.0119 0.2214 0.2393 x4
O: 0.1826 0.0282 0.6507 x4
O: 0.2513 0.2011 0.0715 x4
O: 0.3029 0.4515 0.5205 x4
O: 0.3691 0.1994 0.3779 x4
O: 0.4710 0.4459 0.2883 x4

***

Record 11
First-principles (PBE) data for an optimized crystal structure of SmCr2Si2C, as listed in the Materials Project.

**Mass density**: 6.36 Mg/m³
**Energy relative to the elements**: -2.69 eV/f.u.
**Raw total energy**: -7.799 eV/atom
**Size of the total moment**: 1.28 μB per formula unit

Unit cell a=3.9821 b=3.9821 c=5.3107 alpha=90.00 beta=90.00 gamma=90.00
Space group P4/mmm (No. 123)
Unique sites:
Sm: 0.0000 0.0000 0.0000 x1
Cr: 0.0000 0.5000 0.5000 x2
Si: 0.5000 0.5000 0.2321 x2
C: 0.0000 0.0000 0.5000 x1

***

Record 12
First-principles (PBE) data for an optimized crystal structure of LiCaBi, as listed in the Materials Project.

**Mass density**: 5.33 Mg/m³
**Energy relative to the elements**: -2.40 eV/f.u.
**Raw total energy**: -3.401 eV/atom

Unit cell a=7.8410 b=4.7290 c=8.6067 alpha=90.00 beta=90.00 gamma=90.00
Space group Pnma (No. 62)
Unique sites:
Li: 0.1484 0.2500 0.0692 x4
Ca: 0.0140 0.2500 0.6987 x4
Bi: 0.2329 0.7500 0.8961 x4